Entry 1:
Material: Na2Y3NbP4S2O24
Method: DFT, PBE
State: relaxed

- ΔH_f (0 K) (eV/atom) = -2.906

a = 9.0905 Å, b = 9.0931 Å, c = 23.9579 Å
α = 90.34°, β = 89.82°, γ = 120.08°
Closest atoms and distances in Å follow each position.
Fractional coordinates of all 108 atoms:
Na (0.9947, 0.9934, 0.4991)  6 O 2.70-2.85
Na (0.0047, 0.0001, 0.9982)  6 O 2.63-2.81
Na (0.6670, 0.3316, 0.8316)  6 O 2.68-2.78
Na (0.6784, 0.3389, 0.3314)  6 O 2.60-2.78
Na (0.3298, 0.6570, 0.1621)  6 O 2.65-2.92
Na (0.3338, 0.6664, 0.6708)  6 O 2.72-2.83
Y (0.9898, 0.9951, 0.3513)  6 O 2.12-2.31
Y (0.0011, 0.0013, 0.8520)  6 O 2.18-2.25
Y (0.9996, 0.9992, 0.6564)  6 O 2.19-2.40
Y (0.9968, 0.0013, 0.1458)  6 O 2.28-2.38
Y (0.6665, 0.3331, 0.6893)  6 O 2.18-2.30
Y (0.6736, 0.3435, 0.1852)  6 O 2.12-2.36
Y (0.6734, 0.3327, 0.4770)  6 O 2.23-2.33
Y (0.3295, 0.6631, 0.0182)  6 O 2.14-2.30
Y (0.3341, 0.6718, 0.5178)  6 O 2.13-2.29
Nb (0.6641, 0.3446, 0.9774)  5 O 1.97-2.08
Nb (0.3318, 0.6687, 0.3138)  6 O 1.97-2.14
Nb (0.3310, 0.6670, 0.8161)  6 O 2.01-2.08
P (0.6988, 0.7042, 0.2517)  4 O 1.52-1.62
P (0.0037, 0.2980, 0.2523)  4 O 1.52-1.63
P (0.2954, 0.3028, 0.7525)  4 O 1.51-1.60
P (0.0068, 0.7050, 0.7524)  4 O 1.51-1.60
P (0.6974, 0.9928, 0.7526)  4 O 1.51-1.60
P (0.9545, 0.6225, 0.0812)  4 O 1.52-1.62
P (0.3782, 0.3324, 0.0820)  4 O 1.52-1.63
P (0.6203, 0.6657, 0.9167)  4 O 1.50-1.63
P (0.0383, 0.3787, 0.9169)  4 O 1.51-1.60
P (0.3398, 0.9603, 0.9177)  4 O 1.51-1.60
P (0.6198, 0.9539, 0.4152)  4 O 1.52-1.60
P (0.0462, 0.6685, 0.4150)  4 O 1.52-1.60
S (0.2952, 0.9951, 0.2520)  4 O 1.46-1.54
S (0.9617, 0.3309, 0.5833)  4 O 1.47-1.49
S (0.3708, 0.0407, 0.5830)  4 O 1.47-1.49
S (0.6678, 0.6282, 0.5830)  4 O 1.47-1.49
S (0.6664, 0.0481, 0.0811)  4 O 1.47-1.50
S (0.3337, 0.3798, 0.4146)  4 O 1.47-1.51
O (0.2167, 0.0193, 0.3018)  1 S 1.46
O (0.8075, 0.7863, 0.3032)  1 P 1.52
O (0.9844, 0.1937, 0.3039)  1 P 1.52
O (0.2131, 0.1925, 0.8030)  1 P 1.51
O (0.9791, 0.7872, 0.8033)  1 P 1.51
O (0.8083, 0.0215, 0.8031)  1 P 1.51
O (0.7672, 0.9569, 0.6986)  1 P 1.54
O (0.1895, 0.2323, 0.6987)  1 P 1.54
O (0.0432, 0.8107, 0.6987)  1 P 1.54
O (0.7705, 0.8120, 0.1991)  1 P 1.53
O (0.0422, 0.2286, 0.1991)  1 P 1.53
O (0.1917, 0.9624, 0.2013)  1 S 1.47
O (0.8808, 0.3539, 0.6331)  1 S 1.47
O (0.4735, 0.1218, 0.6330)  1 S 1.47
O (0.6469, 0.5264, 0.6329)  1 S 1.47
O (0.8748, 0.5188, 0.1337)  1 P 1.52
O (0.6456, 0.1228, 0.1330)  1 S 1.47
O (0.4809, 0.3505, 0.1342)  1 P 1.52
O (0.4825, 0.3192, 0.0283)  1 P 1.63
O (0.8358, 0.5172, 0.0284)  1 P 1.62
O (0.6847, 0.1540, 0.0310)  1 S 1.50
O (0.4545, 0.1417, 0.5323)  1 S 1.49
O (0.6863, 0.5445, 0.5320)  1 S 1.49
O (0.8591, 0.3112, 0.5325)  1 S 1.49
O (0.5420, 0.6861, 0.9693)  1 P 1.50
O (0.1435, 0.4582, 0.9685)  1 P 1.51
O (0.3166, 0.8562, 0.9690)  1 P 1.51
O (0.5399, 0.8507, 0.4677)  1 P 1.52
O (0.3113, 0.4553, 0.4659)  1 S 1.47
O (0.1475, 0.6862, 0.4676)  1 P 1.52
O (0.1479, 0.6518, 0.3628)  1 P 1.60
O (0.5033, 0.8506, 0.3632)  1 P 1.60
O (0.3525, 0.4872, 0.3645)  1 S 1.51
O (0.1324, 0.4964, 0.8645)  1 P 1.60
O (0.3636, 0.8667, 0.8647)  1 P 1.60
O (0.5038, 0.6363, 0.8643)  1 P 1.58
O (0.0319, 0.8275, 0.4085)  1 P 1.52
O (0.7972, 0.9759, 0.4099)  1 P 1.53
O (0.1838, 0.2095, 0.4087)  1 S 1.47
O (0.0108, 0.2014, 0.9085)  1 P 1.51
O (0.1904, 0.9880, 0.9090)  1 P 1.52
O (0.8000, 0.8107, 0.9091)  1 P 1.51
O (0.9784, 0.1774, 0.5874)  1 S 1.48
O (0.1995, 0.0219, 0.5874)  1 S 1.48
O (0.8212, 0.7996, 0.5874)  1 S 1.48
O (0.9624, 0.7955, 0.0831)  1 P 1.54
O (0.8226, 0.0340, 0.0844)  1 S 1.49
O (0.2036, 0.1680, 0.0827)  1 P 1.54
O (0.6699, 0.1451, 0.7450)  1 P 1.54
O (0.4754, 0.3307, 0.7449)  1 P 1.53
O (0.8551, 0.5248, 0.7448)  1 P 1.53
O (0.6670, 0.5227, 0.2468)  1 P 1.53
O (0.8515, 0.3255, 0.2470)  1 P 1.53
O (0.4679, 0.1406, 0.2460)  1 S 1.47
O (0.6342, 0.4953, 0.9252)  1 P 1.63
O (0.8577, 0.3657, 0.9254)  1 P 1.60
O (0.5077, 0.1423, 0.9262)  1 P 1.60
O (0.6281, 0.1275, 0.4165)  1 P 1.54
O (0.4899, 0.3673, 0.4180)  1 S 1.48
O (0.8706, 0.5047, 0.4162)  1 P 1.54
O (0.3630, 0.4913, 0.0761)  1 P 1.53
O (0.1307, 0.6425, 0.0758)  1 P 1.52
O (0.5164, 0.8768, 0.0763)  1 S 1.47
O (0.3533, 0.8690, 0.5786)  1 S 1.49
O (0.5135, 0.6448, 0.5783)  1 S 1.49
O (0.1330, 0.4843, 0.5781)  1 S 1.49
O (0.3119, 0.8366, 0.2603)  1 S 1.54
O (0.5157, 0.6864, 0.2648)  1 P 1.62
O (0.1687, 0.4833, 0.2651)  1 P 1.63
O (0.3131, 0.4844, 0.7640)  1 P 1.60
O (0.1708, 0.6870, 0.7635)  1 P 1.60
O (0.5154, 0.8288, 0.7640)  1 P 1.60

Entry 2:
Material: SrLiN
Method: DFT, PBE
State: relaxed

- ΔH_f (0 K) (eV/atom) = -0.617

a = 3.9415 Å, b = 3.9415 Å, c = 7.0949 Å
α = 90.00°, β = 90.00°, γ = 90.00°
Closest atoms and distances in Å follow each position.
Fractional coordinates of all 6 atoms:
Sr (0.0000, 0.0000, 0.7500)  4 N 2.65
Sr (0.0000, 0.0000, 0.2500)  4 N 2.65
Li (0.5000, 0.5000, 0.5000)  2 N 1.97
Li (0.5000, 0.5000, 0.0000)  2 N 1.97
N (0.0000, 0.5000, 0.0000)  2 Li 1.97
N (0.5000, 0.0000, 0.5000)  2 Li 1.97

Entry 3:
Material: ScSn
Method: DFT, PBE
State: relaxed

- ΔH_f (0 K) (eV/atom) = -0.451

a = 3.6154 Å, b = 3.6154 Å, c = 3.6154 Å
α = 90.00°, β = 90.00°, γ = 90.00°
Closest atoms and distances in Å follow each position.
Fractional coordinates of all 2 atoms:
Sc (0.0000, 0.0000, 0.0000)  8 Sn 3.13
Sn (0.5000, 0.5000, 0.5000)  8 Sc 3.13

Entry 4:
Material: KCeGeSe4
Method: DFT, PBE
State: relaxed

- ΔH_f (0 K) (eV/atom) = -1.387

a = 7.1050 Å, b = 6.9507 Å, c = 9.1497 Å
α = 72.12°, β = 90.00°, γ = 90.00°
Closest atoms and distances in Å follow each position.
Fractional coordinates of all 14 atoms:
K (0.2754, 0.7571, 0.9369)  7 Se 3.41-3.64
K (0.7754, 0.2429, 0.0631)  7 Se 3.41-3.64
Ce (0.7882, 0.2682, 0.5535)  7 Se 3.01-3.17
Ce (0.2882, 0.7318, 0.4465)  7 Se 3.01-3.17
Ge (0.2546, 0.2823, 0.3193)  4 Se 2.36-2.39
Ge (0.7546, 0.7177, 0.6807)  4 Se 2.36-2.39
Se (0.2513, 0.0793, 0.1548)  1 Ge 2.36
Se (0.7513, 0.9207, 0.8452)  1 Ge 2.36
Se (0.0295, 0.5103, 0.7137)  1 Ge 2.39
Se (0.1949, 0.0749, 0.5764)  1 Ge 2.39
Se (0.6949, 0.9251, 0.4236)  1 Ge 2.39
Se (0.0109, 0.5317, 0.2719)  1 Ge 2.39
Se (0.5109, 0.4683, 0.7281)  1 Ge 2.39
Se (0.5295, 0.4897, 0.2863)  1 Ge 2.39

Entry 5:
Material: NaZnP2HClO7
Method: DFT, PBE
State: relaxed

- ΔH_f (0 K) (eV/atom) = -1.987

a = 8.0198 Å, b = 8.0198 Å, c = 22.6064 Å
α = 90.00°, β = 90.00°, γ = 90.00°
Closest atoms and distances in Å follow each position.
Fractional coordinates of all 104 atoms:
Na (0.1452, 0.8548, 0.7500)  8 O 2.70-2.95
Na (0.8548, 0.1452, 0.2500)  8 O 2.70-2.95
Na (0.3548, 0.3548, 0.5000)  8 O 2.70-2.95
Na (0.6452, 0.6452, 0.0000)  8 O 2.70-2.95
Na (0.8494, 0.1506, 0.7500)  8 O 2.64-2.92
Na (0.1506, 0.8494, 0.2500)  8 O 2.64-2.92
Na (0.6506, 0.6506, 0.5000)  8 O 2.64-2.92
Na (0.3494, 0.3494, 0.0000)  8 O 2.64-2.92
Zn (0.0013, 0.5087, 0.6297)  4 O 1.96-1.98
Zn (0.9987, 0.4913, 0.1297)  4 O 1.96-1.98
Zn (0.0087, 0.4987, 0.3797)  4 O 1.96-1.98
Zn (0.9913, 0.5013, 0.8797)  4 O 1.96-1.98
Zn (0.4913, 0.9987, 0.8703)  4 O 1.96-1.98
Zn (0.5087, 0.0013, 0.3703)  4 O 1.96-1.98
Zn (0.4987, 0.0087, 0.6203)  4 O 1.96-1.98
Zn (0.5013, 0.9913, 0.1203)  4 O 1.96-1.98
P (0.3741, 0.6402, 0.6430)  4 O 1.54-1.61
P (0.6259, 0.3598, 0.1430)  4 O 1.54-1.61
P (0.1402, 0.1259, 0.3930)  4 O 1.54-1.61
P (0.8598, 0.8741, 0.8930)  4 O 1.54-1.61
P (0.3598, 0.6259, 0.8570)  4 O 1.54-1.61
P (0.6402, 0.3741, 0.3570)  4 O 1.54-1.61
P (0.1259, 0.1402, 0.6070)  4 O 1.54-1.61
P (0.8741, 0.8598, 0.1070)  4 O 1.54-1.61
P (0.8632, 0.8745, 0.6089)  4 O 1.52-1.65
P (0.1368, 0.1255, 0.1089)  4 O 1.52-1.65
P (0.3745, 0.6368, 0.3589)  4 O 1.52-1.65
P (0.6255, 0.3632, 0.8589)  4 O 1.52-1.65
P (0.1255, 0.1368, 0.8911)  4 O 1.52-1.65
P (0.8745, 0.8632, 0.3911)  4 O 1.52-1.65
P (0.6368, 0.3745, 0.6411)  4 O 1.52-1.65
P (0.3632, 0.6255, 0.1411)  4 O 1.52-1.65
H (0.2857, 0.8385, 0.4698)  1 Cl 1.30
H (0.7143, 0.1615, 0.9698)  1 Cl 1.30
H (0.3385, 0.2143, 0.2198)  1 Cl 1.30
H (0.6615, 0.7857, 0.7198)  1 Cl 1.30
H (0.1615, 0.7143, 0.0302)  1 Cl 1.30
H (0.8385, 0.2857, 0.5302)  1 Cl 1.30
H (0.2143, 0.3385, 0.7802)  1 Cl 1.30
H (0.7857, 0.6615, 0.2802)  1 Cl 1.30
Cl (0.1846, 0.7831, 0.5105)  1 H 1.30
Cl (0.8154, 0.2169, 0.0105)  1 H 1.30
Cl (0.2831, 0.3154, 0.2605)  1 H 1.30
Cl (0.7169, 0.6846, 0.7605)  1 H 1.30
Cl (0.2169, 0.8154, 0.9895)  1 H 1.30
Cl (0.7831, 0.1846, 0.4895)  1 H 1.30
Cl (0.3154, 0.2831, 0.7395)  1 H 1.30
Cl (0.6846, 0.7169, 0.2395)  1 H 1.30
O (0.8711, 0.8976, 0.6757)  1 P 1.52
O (0.1289, 0.1024, 0.1757)  1 P 1.52
O (0.3976, 0.6289, 0.4257)  1 P 1.52
O (0.6024, 0.3711, 0.9257)  1 P 1.52
O (0.1024, 0.1289, 0.8243)  1 P 1.52
O (0.8976, 0.8711, 0.3243)  1 P 1.52
O (0.6289, 0.3976, 0.5743)  1 P 1.52
O (0.3711, 0.6024, 0.0743)  1 P 1.52
O (0.3904, 0.6147, 0.5747)  1 P 1.56
O (0.6096, 0.3853, 0.0747)  1 P 1.56
O (0.1147, 0.1096, 0.3247)  1 P 1.56
O (0.8853, 0.8904, 0.8247)  1 P 1.56
O (0.3853, 0.6096, 0.9253)  1 P 1.56
O (0.6147, 0.3904, 0.4253)  1 P 1.56
O (0.1096, 0.1147, 0.6753)  1 P 1.56
O (0.8904, 0.8853, 0.1753)  1 P 1.56
O (0.9918, 0.0119, 0.5798)  2 P 1.61-1.65
O (0.0082, 0.9881, 0.0798)  2 P 1.61-1.65
O (0.5119, 0.5082, 0.3298)  2 P 1.61-1.65
O (0.4881, 0.4918, 0.8298)  2 P 1.61-1.65
O (0.9881, 0.0082, 0.9202)  2 P 1.61-1.65
O (0.0119, 0.9918, 0.4202)  2 P 1.61-1.65
O (0.5082, 0.5119, 0.6702)  2 P 1.61-1.65
O (0.4918, 0.4881, 0.1702)  2 P 1.61-1.65
O (0.4251, 0.8127, 0.6667)  1 P 1.54
O (0.5749, 0.1873, 0.1668)  1 P 1.54
O (0.3127, 0.0749, 0.4168)  1 P 1.54
O (0.6873, 0.9251, 0.9168)  1 P 1.54
O (0.1873, 0.5749, 0.8332)  1 P 1.54
O (0.8127, 0.4251, 0.3332)  1 P 1.54
O (0.0749, 0.3127, 0.5833)  1 P 1.54
O (0.9251, 0.6873, 0.0832)  1 P 1.54
O (0.8073, 0.4118, 0.6698)  1 P 1.54
O (0.1927, 0.5882, 0.1698)  1 P 1.54
O (0.9118, 0.6927, 0.4198)  1 P 1.54
O (0.0882, 0.3073, 0.9198)  1 P 1.54
O (0.5882, 0.1927, 0.8302)  1 P 1.54
O (0.4118, 0.8073, 0.3302)  1 P 1.54
O (0.6927, 0.9118, 0.5802)  1 P 1.54
O (0.3073, 0.0882, 0.0802)  1 P 1.54
O (0.2008, 0.5998, 0.6682)  1 P 1.54
O (0.7992, 0.4002, 0.1682)  1 P 1.54
O (0.0998, 0.2992, 0.4182)  1 P 1.54
O (0.9002, 0.7008, 0.9182)  1 P 1.54
O (0.4002, 0.7992, 0.8318)  1 P 1.54
O (0.5998, 0.2008, 0.3318)  1 P 1.54
O (0.2992, 0.0998, 0.5818)  1 P 1.54
O (0.7008, 0.9002, 0.0818)  1 P 1.54
O (0.9196, 0.7033, 0.5853)  1 P 1.54
O (0.0804, 0.2967, 0.0853)  1 P 1.54
O (0.2033, 0.5804, 0.3353)  1 P 1.54
O (0.7967, 0.4196, 0.8353)  1 P 1.54
O (0.2967, 0.0804, 0.9147)  1 P 1.54
O (0.7033, 0.9196, 0.4147)  1 P 1.54
O (0.5804, 0.2033, 0.6647)  1 P 1.54
O (0.4196, 0.7967, 0.1647)  1 P 1.54